1.
First-principles (PBE) data for a geometry-optimized SrNd5S8 structure, as listed in the Materials Project database.

Cell: 7.4837 7.4837 7.4837 Å, 109.48 109.48 109.45°
Fractional coordinates of all 14 atoms:
Sr 0.0000 0.0000 0.0000
Nd 0.2487 0.6234 0.1268
Nd 0.3766 0.5034 0.6253
Nd 0.4966 0.1219 0.8732
Nd 0.7500 0.2500 0.5000
Nd 0.8781 0.7513 0.3747
S 0.1261 0.7214 0.7467
S 0.1281 0.2316 0.7463
S 0.2786 0.0253 0.4047
S 0.4854 0.3818 0.2537
S 0.6182 0.8719 0.1036
S 0.6206 0.8739 0.5953
S 0.7684 0.5146 0.8964
S 0.9747 0.3794 0.2533

2.
First-principles (PBE) data for a geometry-optimized Nd2TeS2 structure, as listed in the Materials Project database.

Cell: 4.6587 4.6587 7.7732 Å, 90.00 90.00 120.00°
Fractional coordinates of all 5 atoms:
Nd 0.3333 0.6667 0.2679
Nd 0.6667 0.3333 0.7321
Te 0.0000 0.0000 0.0000
S 0.3333 0.6667 0.6360
S 0.6667 0.3333 0.3640

3.
First-principles (PBE) data for a geometry-optimized Nd2ThS5 structure, as listed in the Materials Project database.

Cell: 12.0709 8.2585 7.5785 Å, 90.00 90.00 90.00°
Fractional coordinates of all 32 atoms:
Nd 0.1780 0.9999 0.0205
Nd 0.1780 0.5001 0.0205
Nd 0.3220 0.0001 0.5205
Nd 0.3220 0.4999 0.5205
Nd 0.6780 0.9999 0.4795
Nd 0.6780 0.5001 0.4795
Nd 0.8220 0.0001 0.9795
Nd 0.8220 0.4999 0.9795
Th 0.0098 0.2500 0.5751
Th 0.4902 0.7500 0.0751
Th 0.5098 0.2500 0.9249
Th 0.9902 0.7500 0.4249
S 0.0009 0.2500 0.9591
S 0.0991 0.5428 0.6640
S 0.0991 0.9572 0.6640
S 0.1875 0.2500 0.3273
S 0.2165 0.7500 0.3013
S 0.2835 0.2500 0.8013
S 0.3125 0.7500 0.8273
S 0.4009 0.0428 0.1640
S 0.4009 0.4572 0.1640
S 0.4991 0.7500 0.4591
S 0.5009 0.2500 0.5409
S 0.5991 0.5428 0.8360
S 0.5991 0.9572 0.8360
S 0.6875 0.2500 0.1727
S 0.7165 0.7500 0.1987
S 0.7835 0.2500 0.6987
S 0.8125 0.7500 0.6727
S 0.9009 0.0428 0.3360
S 0.9009 0.4572 0.3360
S 0.9991 0.7500 0.0409

4.
First-principles (PBE) data for a geometry-optimized NdThUS5 structure, as listed in the Materials Project database.

Cell: 7.4792 8.0324 12.0529 Å, 90.00 90.00 90.00°
Fractional coordinates of all 32 atoms:
Nd 0.0223 0.2480 0.4311
Nd 0.4777 0.7520 0.9311
Nd 0.5223 0.2520 0.5689
Nd 0.9777 0.7480 0.0689
Th 0.0236 0.7489 0.4255
Th 0.4764 0.2511 0.9255
Th 0.5236 0.7511 0.5745
Th 0.9764 0.2489 0.0745
U 0.0696 0.9981 0.7447
U 0.4304 0.0019 0.2447
U 0.5696 0.5019 0.2553
U 0.9304 0.4981 0.7553
S 0.0409 0.9993 0.2496
S 0.1636 0.2882 0.6526
S 0.1638 0.7090 0.6482
S 0.1710 0.4917 0.9365
S 0.1975 0.0062 0.9649
S 0.3025 0.9938 0.4649
S 0.3290 0.5083 0.4365
S 0.3362 0.2910 0.1482
S 0.3364 0.7118 0.1526
S 0.4591 0.0007 0.7496
S 0.5409 0.5007 0.7504
S 0.6636 0.2118 0.3474
S 0.6638 0.7910 0.3518
S 0.6710 0.0083 0.0635
S 0.6975 0.4938 0.0351
S 0.8025 0.5062 0.5351
S 0.8290 0.9917 0.5635
S 0.8362 0.2090 0.8518
S 0.8364 0.7882 0.8474
S 0.9591 0.4993 0.2504

5.
First-principles (PBE) data for a geometry-optimized Nd4Tm11S22 structure, as listed in the Materials Project database.

Cell: 19.5398 19.5398 11.2920 Å, 91.40 91.40 11.50°
Fractional coordinates of all 37 atoms:
Nd 0.1047 0.1047 0.0125
Nd 0.3670 0.3670 0.3483
Nd 0.6330 0.6330 0.6517
Nd 0.8953 0.8953 0.9875
Tm 0.0000 0.0000 0.0000
Tm 0.0697 0.0697 0.3606
Tm 0.2022 0.2022 0.9418
Tm 0.2637 0.2637 0.3517
Tm 0.3423 0.3423 0.6990
Tm 0.4616 0.4616 0.2704
Tm 0.5384 0.5384 0.7296
Tm 0.6577 0.6577 0.3010
Tm 0.7363 0.7363 0.6483
Tm 0.7978 0.7978 0.0582
Tm 0.9303 0.9303 0.6394
S 0.0079 0.0079 0.2397
S 0.0877 0.0877 0.7536
S 0.1349 0.1349 0.4532
S 0.1687 0.1687 0.1513
S 0.1892 0.1892 0.6914
S 0.2550 0.2550 0.1192
S 0.2802 0.2802 0.5894
S 0.3503 0.3503 0.0923
S 0.4072 0.4072 0.7874
S 0.4448 0.4448 0.4937
S 0.4531 0.4531 0.0305
S 0.5469 0.5469 0.9695
S 0.5552 0.5552 0.5063
S 0.5928 0.5928 0.2126
S 0.6497 0.6497 0.9077
S 0.7198 0.7198 0.4106
S 0.7450 0.7450 0.8808
S 0.8108 0.8108 0.3086
S 0.8313 0.8313 0.8487
S 0.8651 0.8651 0.5468
S 0.9123 0.9123 0.2464
S 0.9921 0.9921 0.7603

6.
First-principles (PBE) data for a geometry-optimized NdTmS3 structure, as listed in the Materials Project database.

Cell: 11.0128 3.9506 21.5203 Å, 90.00 101.50 90.00°
Fractional coordinates of all 40 atoms:
Nd 0.0925 0.2500 0.3631
Nd 0.2013 0.2500 0.0364
Nd 0.3034 0.7500 0.7345
Nd 0.3075 0.2500 0.2318
Nd 0.6925 0.7500 0.7682
Nd 0.6966 0.2500 0.2655
Nd 0.7987 0.7500 0.9636
Nd 0.9075 0.7500 0.6369
Tm 0.0294 0.2500 0.8518
Tm 0.1796 0.2500 0.5465
Tm 0.4473 0.2500 0.9170
Tm 0.4771 0.7500 0.4115
Tm 0.5229 0.2500 0.5885
Tm 0.5527 0.7500 0.0830
Tm 0.8204 0.7500 0.4535
Tm 0.9706 0.7500 0.1482
S 0.0390 0.2500 0.2287
S 0.0573 0.7500 0.9449
S 0.0853 0.7500 0.4624
S 0.1245 0.2500 0.6639
S 0.2046 0.7500 0.1334
S 0.2530 0.7500 0.3257
S 0.2538 0.2500 0.8237
S 0.3422 0.7500 0.5996
S 0.3551 0.7500 0.9852
S 0.3639 0.2500 0.4638
S 0.4514 0.2500 0.1334
S 0.4954 0.2500 0.7210
S 0.5046 0.7500 0.2790
S 0.5486 0.7500 0.8666
S 0.6361 0.7500 0.5362
S 0.6449 0.2500 0.0148
S 0.6578 0.2500 0.4004
S 0.7462 0.7500 0.1763
S 0.7470 0.2500 0.6743
S 0.7954 0.2500 0.8666
S 0.8755 0.7500 0.3361
S 0.9147 0.2500 0.5376
S 0.9427 0.2500 0.0551
S 0.9610 0.7500 0.7713

7.
First-principles (PBE) data for a geometry-optimized Nd10US16 structure, as listed in the Materials Project database.

Cell: 8.5722 8.5722 8.5374 Å, 90.00 90.00 90.00°
Fractional coordinates of all 27 atoms:
Nd 0.0000 0.5000 0.2468
Nd 0.1237 0.7567 0.8578
Nd 0.2433 0.1237 0.1422
Nd 0.2441 0.3666 0.6207
Nd 0.3666 0.7559 0.3793
Nd 0.5000 0.0000 0.7532
Nd 0.6334 0.2441 0.3793
Nd 0.7559 0.6334 0.6207
Nd 0.7567 0.8763 0.1422
Nd 0.8763 0.2433 0.8578
U 0.5000 0.5000 0.0000
S 0.0785 0.6684 0.5418
S 0.0784 0.8163 0.1821
S 0.1811 0.4336 0.9462
S 0.1837 0.0784 0.8179
S 0.3269 0.4266 0.2974
S 0.3316 0.0785 0.4582
S 0.4266 0.6731 0.7026
S 0.4336 0.8189 0.0538
S 0.5664 0.1811 0.0538
S 0.5734 0.3269 0.7026
S 0.6684 0.9215 0.4582
S 0.6731 0.5734 0.2974
S 0.8163 0.9216 0.8179
S 0.8189 0.5664 0.9462
S 0.9216 0.1837 0.1821
S 0.9215 0.3316 0.5418

8.
First-principles (PBE) data for a geometry-optimized Nd2US5 structure, as listed in the Materials Project database.

Cell: 11.9547 8.0971 7.5067 Å, 90.00 90.00 90.00°
Fractional coordinates of all 32 atoms:
Nd 0.1773 0.9995 0.0235
Nd 0.1773 0.5005 0.0235
Nd 0.3227 0.0005 0.5235
Nd 0.3227 0.4995 0.5235
Nd 0.6773 0.9995 0.4765
Nd 0.6773 0.5005 0.4765
Nd 0.8227 0.0005 0.9765
Nd 0.8227 0.4995 0.9765
U 0.0087 0.2500 0.5722
U 0.4913 0.7500 0.0722
U 0.5087 0.2500 0.9278
U 0.9913 0.7500 0.4278
S 0.0006 0.2500 0.9542
S 0.0948 0.5427 0.6601
S 0.0948 0.9573 0.6601
S 0.1858 0.2500 0.3301
S 0.2137 0.7500 0.3037
S 0.2863 0.2500 0.8037
S 0.3142 0.7500 0.8301
S 0.4052 0.0427 0.1601
S 0.4052 0.4573 0.1601
S 0.4994 0.7500 0.4542
S 0.5006 0.2500 0.5458
S 0.5948 0.5427 0.8399
S 0.5948 0.9573 0.8399
S 0.6858 0.2500 0.1699
S 0.7137 0.7500 0.1963
S 0.7863 0.2500 0.6963
S 0.8142 0.7500 0.6699
S 0.9052 0.0427 0.3399
S 0.9052 0.4573 0.3399
S 0.9994 0.7500 0.0458

9.
First-principles (PBE) data for a geometry-optimized NdY3S6 structure, as listed in the Materials Project database.

Cell: 11.1265 3.9996 11.3461 Å, 90.00 108.88 90.00°
Fractional coordinates of all 20 atoms:
Nd 0.0484 0.2500 0.1934
Nd 0.9516 0.7500 0.8066
Y 0.1608 0.2500 0.5859
Y 0.3196 0.7500 0.9988
Y 0.4398 0.2500 0.3330
Y 0.5602 0.7500 0.6670
Y 0.6804 0.2500 0.0012
Y 0.8392 0.7500 0.4141
S 0.0811 0.7500 0.4040
S 0.1163 0.2500 0.9632
S 0.1938 0.7500 0.7489
S 0.2638 0.7500 0.2282
S 0.3947 0.2500 0.5595
S 0.4784 0.2500 0.1120
S 0.5216 0.7500 0.8880
S 0.6053 0.7500 0.4405
S 0.7362 0.2500 0.7718
S 0.8062 0.2500 0.2511
S 0.8837 0.7500 0.0368
S 0.9189 0.2500 0.5960

10.
First-principles (PBE) data for a geometry-optimized Nd2ZrS5 structure, as listed in the Materials Project database.

Cell: 11.7895 7.9886 7.4170 Å, 90.00 90.00 90.00°
Fractional coordinates of all 32 atoms:
Nd 0.1775 0.0017 0.0268
Nd 0.1775 0.4983 0.0268
Nd 0.3225 0.5017 0.5268
Nd 0.3225 0.9983 0.5268
Nd 0.6775 0.0017 0.4732
Nd 0.6775 0.4983 0.4732
Nd 0.8225 0.5017 0.9732
Nd 0.8225 0.9983 0.9732
Zr 0.0071 0.7500 0.5769
Zr 0.4929 0.2500 0.0769
Zr 0.5071 0.7500 0.9231
Zr 0.9929 0.2500 0.4231
S 0.0042 0.7500 0.9436
S 0.0897 0.0357 0.6597
S 0.0897 0.4643 0.6597
S 0.1812 0.7500 0.3359
S 0.2058 0.2500 0.3143
S 0.2942 0.7500 0.8143
S 0.3188 0.2500 0.8359
S 0.4103 0.5357 0.1597
S 0.4103 0.9643 0.1597
S 0.4958 0.2500 0.4436
S 0.5042 0.7500 0.5564
S 0.5897 0.0357 0.8403
S 0.5897 0.4643 0.8403
S 0.6812 0.7500 0.1641
S 0.7058 0.2500 0.1857
S 0.7942 0.7500 0.6857
S 0.8188 0.2500 0.6641
S 0.9103 0.5357 0.3403
S 0.9103 0.9643 0.3403
S 0.9958 0.2500 0.0564

11.
First-principles (PBE) data for a geometry-optimized Nd4Sb3 structure, as listed in the Materials Project database.

Cell: 8.2451 8.2451 8.2451 Å, 109.47 109.47 109.47°
Fractional coordinates of all 14 atoms:
Nd 0.0000 0.1411 0.5000
Nd 0.0000 0.6411 0.5000
Nd 0.1411 0.5000 0.0000
Nd 0.3589 0.3589 0.3589
Nd 0.5000 0.0000 0.1411
Nd 0.5000 0.0000 0.6411
Nd 0.6411 0.5000 0.0000
Nd 0.8589 0.8589 0.8589
Sb 0.1250 0.8750 0.2500
Sb 0.2500 0.1250 0.8750
Sb 0.3750 0.6250 0.7500
Sb 0.6250 0.7500 0.3750
Sb 0.7500 0.3750 0.6250
Sb 0.8750 0.2500 0.1250

12.
First-principles (PBE) data for a geometry-optimized NdSb structure, as listed in the Materials Project database.

Cell: 4.5255 4.5255 4.5255 Å, 60.00 60.00 60.00°
Fractional coordinates of all 2 atoms:
Nd 0.0000 0.0000 0.0000
Sb 0.5000 0.5000 0.5000

13.
First-principles (PBE) data for a geometry-optimized Nd5Sb3 structure, as listed in the Materials Project database.

Cell: 9.3548 9.3548 6.4792 Å, 90.00 90.00 120.00°
Fractional coordinates of all 16 atoms:
Nd 0.0000 0.2505 0.2500
Nd 0.0000 0.7495 0.7500
Nd 0.2505 0.0000 0.2500
Nd 0.2505 0.2505 0.7500
Nd 0.3333 0.6667 0.0000
Nd 0.3333 0.6667 0.5000
Nd 0.6667 0.3333 0.0000
Nd 0.6667 0.3333 0.5000
Nd 0.7495 0.0000 0.7500
Nd 0.7495 0.7495 0.2500
Sb 0.0000 0.3876 0.7500
Sb 0.0000 0.6124 0.2500
Sb 0.3876 0.0000 0.7500
Sb 0.3876 0.3876 0.2500
Sb 0.6124 0.0000 0.2500
Sb 0.6124 0.6124 0.7500

14.
First-principles (PBE) data for a geometry-optimized NdSb structure, as listed in the Materials Project database.

Cell: 4.1095 4.1095 3.4508 Å, 90.00 90.00 90.00°
Fractional coordinates of all 2 atoms:
Nd 0.0000 0.0000 0.0000
Sb 0.5000 0.5000 0.5000

15.
First-principles (PBE) data for a geometry-optimized NdSbSe structure, as listed in the Materials Project database.

Cell: 18.3625 4.2294 4.2439 Å, 90.00 90.00 90.00°
Fractional coordinates of all 12 atoms:
Nd 0.1477 0.2500 0.2323
Nd 0.3523 0.7500 0.7323
Nd 0.6477 0.2500 0.2677
Nd 0.8523 0.7500 0.7677
Sb 0.0011 0.2500 0.7398
Sb 0.4989 0.7500 0.2398
Sb 0.5011 0.2500 0.7602
Sb 0.9989 0.7500 0.2602
Se 0.1863 0.7500 0.7336
Se 0.3137 0.2500 0.2336
Se 0.6863 0.7500 0.7664
Se 0.8137 0.2500 0.2663

no.,ΔE_f (eV per formula unit)
1,-32.7
2,-10.4
3,-18.9
4,-17.0
5,-86.9
6,-11.9
7,-61.3
8,-17.2
9,-23.8
10,-17.6
11,-8.0
12,-2.6
13,-8.3
14,-2.0
15,-4.7